(1)
Entry from the Materials Project database: a relaxed structure of CoO (GGA+U).

Output
The value obtained for the piezoelectric modulus e_max is 0.9 C/m2. The value obtained for the formation energy is -1284 meV per atom. The calculation puts the total energy at -6.150 eV per atom.

a b c (Å): 3.269 5.289 5.646
angles (deg): 90.00 90.00 90.00
Fractional positions:
Co 0.000 0.998 0.666
Co 0.000 0.498 0.334
Co 0.500 0.999 0.166
Co 0.500 0.499 0.834
O 0.500 0.377 0.166
O 0.000 0.376 0.666
O 0.000 0.876 0.334
O 0.500 0.877 0.834

(2)
Entry from the Materials Project database: a relaxed structure of KUVO6 (GGA+U).

Output
The calculation puts the total moment at 0.111 μB/atom. The value obtained for the formation energy is -2298 meV per atom. The calculation puts the total energy at -7.688 eV per atom. The value obtained for the distance to the lowest polymorph of the same formula is 692 meV per atom.

a b c (Å): 6.768 8.106 14.698
angles (deg): 90.00 89.04 90.00
Fractional positions:
K 0.522 0.834 0.735
K 0.522 0.666 0.235
K 0.478 0.166 0.265
K 0.478 0.334 0.765
U 0.989 0.565 0.719
U 0.989 0.935 0.219
U 0.011 0.435 0.281
U 0.011 0.065 0.781
V 0.814 0.508 0.965
V 0.186 0.492 0.035
V 0.186 0.008 0.535
V 0.814 0.992 0.465
O 0.069 0.188 0.240
O 0.422 0.001 0.465
O 0.931 0.688 0.260
O 0.805 0.983 0.346
O 0.250 0.033 0.839
O 0.195 0.017 0.654
O 0.422 0.499 0.965
O 0.805 0.517 0.846
O 0.069 0.312 0.740
O 0.999 0.655 0.010
O 0.251 0.897 0.251
O 0.250 0.467 0.339
O 0.750 0.533 0.661
O 0.195 0.483 0.154
O 0.578 0.501 0.035
O 0.001 0.155 0.490
O 0.001 0.345 0.990
O 0.251 0.603 0.751
O 0.578 0.999 0.535
O 0.750 0.967 0.161
O 0.749 0.397 0.249
O 0.749 0.103 0.749
O 0.931 0.812 0.760
O 0.999 0.845 0.510

(3)
Entry from the Materials Project database: a relaxed structure of Cr2C13SN3O10F5 (GGA+U).

Output
The calculation puts the total moment at 0.000 μB/atom. The value obtained for the formation energy is -774 meV per atom. The calculation puts the total energy at -7.077 eV per atom.

a b c (Å): 6.468 12.100 14.394
angles (deg): 92.46 96.40 99.67
Fractional positions:
Cr 0.521 0.835 0.311
Cr 0.888 0.735 0.910
Cr 0.479 0.165 0.689
Cr 0.112 0.265 0.090
C 0.164 0.815 0.896
C 0.725 0.970 0.311
C 0.232 0.185 0.189
C 0.682 0.793 0.420
C 0.016 0.659 0.009
C 0.331 0.249 0.766
C 0.642 0.090 0.612
C 0.691 0.296 0.691
C 0.160 0.152 0.001
C 0.969 0.473 0.696
C 0.626 0.122 0.801
C 0.381 0.352 0.076
C 0.768 0.815 0.811
C 0.984 0.341 0.991
C 0.374 0.878 0.199
C 0.669 0.751 0.234
C 0.840 0.848 0.999
C 0.318 0.207 0.580
C 0.922 0.624 0.818
C 0.309 0.704 0.309
C 0.078 0.376 0.182
C 0.275 0.030 0.689
C 0.619 0.648 0.924
C 0.031 0.527 0.304
C 0.836 0.185 0.104
C 0.358 0.910 0.388
S 0.705 0.414 0.374
S 0.295 0.586 0.626
N 0.941 0.555 0.758
N 0.110 0.473 0.639
N 0.890 0.527 0.361
N 0.826 0.377 0.695
N 0.174 0.623 0.305
N 0.059 0.445 0.242
O 0.287 0.902 0.131
O 0.248 0.303 0.813
O 0.699 0.864 0.751
O 0.256 0.953 0.435
O 0.192 0.085 0.947
O 0.713 0.098 0.869
O 0.095 0.614 0.069
O 0.456 0.595 0.934
O 0.808 0.915 0.053
O 0.544 0.405 0.066
O 0.744 0.047 0.565
O 0.752 0.697 0.187
O 0.301 0.136 0.249
O 0.334 0.860 0.889
O 0.215 0.230 0.515
O 0.785 0.770 0.485
O 0.155 0.947 0.689
O 0.845 0.053 0.311
O 0.666 0.140 0.111
O 0.905 0.386 0.931
F 0.256 0.559 0.514
F 0.350 0.623 0.738
F 0.650 0.377 0.262
F 0.526 0.493 0.365
F 0.127 0.672 0.617
F 0.744 0.441 0.486
F 0.873 0.328 0.383
F 0.522 0.311 0.392
F 0.474 0.507 0.635
F 0.478 0.689 0.608

(4)
Entry from the Materials Project database: a relaxed structure of MgFe5CuO8 (GGA+U).

Output
The calculation puts the total moment at 0.154 μB/atom. The value obtained for the formation energy is -1505 meV per atom. The calculation puts the total energy at -6.228 eV per atom. The value obtained for the distance to the lowest polymorph of the same formula is 64 meV per atom.

a b c (Å): 5.951 6.321 5.951
angles (deg): 63.17 60.69 63.17
Fractional positions:
Mg 0.125 0.625 0.125
Fe 0.973 0.093 0.973
Fe 0.277 0.157 0.277
Fe 0.125 0.625 0.625
Fe 0.625 0.125 0.625
Fe 0.625 0.625 0.125
Cu 0.625 0.625 0.625
O 0.361 0.400 0.361
O 0.404 0.802 0.404
O 0.349 0.388 0.869
O 0.869 0.388 0.349
O 0.381 0.862 0.901
O 0.901 0.862 0.381
O 0.846 0.448 0.846
O 0.889 0.850 0.889

(5)
Entry from the Materials Project database: a relaxed structure of Li2MnSnO4 (GGA+U).

Output
The calculation puts the total moment at 0.000 μB/atom. The value obtained for the formation energy is -2139 meV per atom. The calculation puts the total energy at -6.185 eV per atom. The value obtained for the distance to the lowest polymorph of the same formula is 0 meV per atom.

a b c (Å): 6.043 10.389 6.043
angles (deg): 73.09 90.00 106.91
Fractional positions:
Li 0.375 0.250 0.125
Li 0.125 0.750 0.875
Li 0.875 0.250 0.625
Li 0.625 0.750 0.375
Li 0.500 0.000 0.000
Li 0.250 0.500 0.750
Li 0.000 0.000 0.500
Li 0.750 0.500 0.250
Mn 0.500 0.000 0.500
Mn 0.250 0.500 0.250
Mn 0.750 0.500 0.750
Mn 0.000 0.000 0.000
Sn 0.375 0.250 0.625
Sn 0.125 0.750 0.375
Sn 0.875 0.250 0.125
Sn 0.625 0.750 0.875
O 0.483 0.466 0.517
O 0.233 0.966 0.267
O 0.983 0.466 0.017
O 0.733 0.966 0.767
O 0.267 0.034 0.733
O 0.017 0.534 0.483
O 0.767 0.034 0.233
O 0.517 0.534 0.983
O 0.628 0.256 0.872
O 0.378 0.756 0.622
O 0.128 0.256 0.372
O 0.878 0.756 0.122
O 0.122 0.244 0.878
O 0.872 0.744 0.628
O 0.622 0.244 0.378
O 0.372 0.744 0.128

(6)
Entry from the Materials Project database: a relaxed structure of CoH2O2 (GGA+U).

Output
The calculation puts the total moment at 0.000 μB/atom. The value obtained for the formation energy is -1239 meV per atom. The calculation puts the total energy at -5.394 eV per atom. The value obtained for the distance to the lowest polymorph of the same formula is 8 meV per atom.

a b c (Å): 3.174 5.955 5.613
angles (deg): 122.64 90.93 83.70
Fractional positions:
Co 0.982 0.976 0.030
Co 0.482 0.976 0.530
H 0.537 0.572 0.958
H 0.038 0.572 0.458
H 0.908 0.381 0.621
H 0.410 0.380 0.121
O 0.521 0.767 0.074
O 0.021 0.767 0.574
O 0.941 0.186 0.490
O 0.442 0.186 0.990